Compound: ZrH8N2F6
Source: the Materials Project
Functional: GGA-PBE
Structure: relaxed

Cell and atoms, written as extended XYZ:
```
136
Lattice="8.1121 0.0000 0.0000 0.0000 13.1685 0.0000 0.0000 0.0000 14.6672" Properties=species:S:1:pos:R:3 pbc="T T T"
F 0.1564 2.4147 7.5017
N 4.7394 5.4097 9.5893
H 6.2113 10.9328 5.9095
N 1.5884 5.6787 3.8933
H 1.2739 4.3440 9.1752
F 7.6179 10.0177 11.7510
Zr 3.5066 3.0440 13.3767
F 5.4692 10.0702 9.4912
F 0.4942 3.4334 2.9161
N 6.5237 5.6787 11.2269
F 2.1074 3.1031 0.2575
F 0.1564 8.9989 14.4990
F 5.4692 3.4859 12.5095
F 0.5145 11.4964 1.0471
N 1.8535 6.6691 4.6106
H 6.7936 2.0876 1.5931
N 1.5884 12.2629 3.4403
F 1.4005 9.5249 9.5074
F 4.9970 4.9645 5.1683
F 3.1151 4.9645 12.5019
H 6.9380 0.5509 6.6255
H 7.3252 9.3365 14.3835
H 6.7936 8.6719 5.7404
H 6.1176 5.1899 4.6282
H 1.9141 13.0860 1.7056
H 4.4736 11.1967 13.0029
H 6.6609 5.9474 10.2466
F 2.1074 9.6874 7.0761
H 4.2093 5.7600 2.7236
H 1.4512 5.9474 2.9130
F 0.4942 10.0177 4.4175
H 1.9520 7.5997 4.1916
F 7.0536 5.4772 4.2176
N 6.2585 6.6691 11.9442
Zr 3.5066 9.6282 8.6241
H 1.9944 11.7742 10.0390
H 1.6105 13.1044 13.9634
H 2.6772 7.7964 13.4939
F 2.6429 10.0702 2.1577
F 7.1351 1.5317 12.1929
H 4.4736 4.6124 8.9978
H 1.1741 0.5509 13.9591
F 6.7116 9.5249 2.1738
H 7.3252 2.7522 7.6173
N 6.0842 1.4238 1.9557
H 3.6384 4.6124 1.6643
H 5.4348 1.2121 1.1732
F 3.8408 1.4458 7.0151
N 1.8535 0.0848 2.7230
F 7.5975 4.9122 13.6201
Zr 0.5894 3.5203 4.8892
H 6.5016 6.5202 0.7037
F 7.0536 12.0615 3.1160
H 6.1601 1.0154 10.4756
F 3.1151 11.5488 9.4989
H 3.6384 11.1967 5.6693
H 6.1980 6.5018 12.9615
H 1.2739 10.9283 12.8255
F 7.1351 8.1159 9.8078
F 4.2713 8.0300 7.6521
H 3.9027 12.3443 11.9435
Zr 0.5894 10.1045 2.4444
H 6.5613 7.1489 5.0566
Zr 4.6054 9.6282 1.2905
F 4.2713 1.4458 14.3486
H 1.4512 12.5317 4.4206
F 7.9557 8.9989 7.1655
N 3.3726 11.9940 5.0779
H 2.5612 1.8143 10.0933
F 4.9970 11.5488 2.1653
H 3.0651 6.1466 1.6132
H 5.0470 12.7309 13.0540
H 3.9027 5.7600 10.0572
F 7.6179 3.4334 10.2497
N 3.3726 5.4097 2.2557
H 6.1980 13.0860 9.0392
H 4.2093 12.3443 4.6099
F 3.6292 4.1822 7.3664
F 6.0046 9.6874 14.4097
H 6.9380 7.1352 0.7081
H 1.9944 5.1899 11.9618
H 1.5507 7.1489 12.3902
N 2.0279 1.4238 9.2893
F 0.5145 4.9122 6.2865
H 1.3185 8.6719 13.0740
F 2.6429 3.4859 5.1759
H 5.5509 8.3985 4.5739
H 1.1741 7.1352 8.0417
F 4.4828 10.7665 7.3007
F 3.6292 10.7665 14.6343
H 0.7869 2.7522 0.2837
H 1.3185 2.0876 8.9267
F 0.9770 1.5317 4.8594
F 4.5050 1.9430 4.3058
Zr 4.6054 3.0440 6.0431
F 7.5975 11.4964 8.3806
F 0.9770 8.1159 2.4742
H 6.5016 13.1044 6.6298
H 1.6105 6.5202 8.0373
F 1.0584 12.0615 10.4496
F 3.6071 1.9430 11.6394
H 1.9520 1.0154 3.1420
H 5.4348 7.7964 6.1604
Zr 7.5227 3.5203 12.2228
F 6.0046 3.1031 7.5910
H 6.1176 11.7742 2.7054
F 1.0584 5.4772 11.5512
F 4.5050 8.5272 3.0278
H 1.9141 6.5018 5.6279
H 5.5509 1.8143 2.7597
N 6.5237 12.2629 10.7739
H 2.6772 1.2121 8.5068
N 4.7394 11.9940 12.4115
F 3.6071 8.5272 10.3613
F 1.4005 2.9407 12.4933
H 5.0470 6.1466 8.9467
F 3.8408 8.0300 0.3185
H 6.8381 4.3440 1.8417
H 1.9007 4.3485 8.7576
H 3.0651 12.7309 5.7204
F 4.4828 4.1822 0.0329
H 0.7869 9.3365 7.0499
H 1.5507 0.5647 9.6105
H 2.5612 8.3985 11.9075
N 2.0279 8.0081 12.7115
H 6.1601 7.5997 11.5251
H 6.6609 12.5317 11.7542
H 1.9007 10.9328 13.2431
N 6.2585 0.0848 10.0566
H 6.2113 4.3485 1.4240
F 7.9557 2.4147 0.1681
F 6.7116 2.9407 5.1597
H 6.8381 10.9283 5.4919
Zr 7.5227 10.1045 9.7780
H 6.5613 0.5647 2.2770
N 6.0842 8.0081 5.3779
```

Summary:
Calculated formation energy, meV/atom: -1667.5
Theoretical density, Mg/m³: 2.046
SG: Pca2_1

Compound: NaHF2
Source: the Materials Project
Functional: GGA-PBE
Structure: relaxed

Cell and atoms, written as extended XYZ:
```
4
Lattice="2.8853 2.0206 0.0466 -0.2371 3.3878 0.9360 1.6281 0.6367 4.7368" Properties=species:S:1:pos:R:3 pbc="T T T"
Na 0.0000 0.0000 0.0000
F 1.9529 3.3123 1.7641
H 2.1381 3.0226 2.8597
F 2.3233 2.7328 3.9553
```

Summary:
Calculated formation energy, meV/atom: -2473.0
Theoretical density, Mg/m³: 2.073
SG: R-3m
Energy above the most stable polymorph in this dataset, meV/atom: 0

Compound: NaHF2
Source: the Materials Project
Functional: GGA-PBE
Structure: relaxed

Cell and atoms, written as extended XYZ:
```
4
Lattice="2.4473 2.5865 0.0000 -2.4473 2.5865 0.0000 0.0000 0.4460 3.1532" Properties=species:S:1:pos:R:3 pbc="T T T"
H 1.9473 2.8094 1.5766
F -0.3091 4.3361 1.9263
F -0.3091 1.2827 1.2269
Na -1.3767 2.5865 0.0000
```

Summary:
Calculated formation energy, meV/atom: -2282.4
Theoretical density, Mg/m³: 2.579
Largest piezoelectric modulus, C/m²: 1.45
SG: C2
Energy above the most stable polymorph in this dataset, meV/atom: 191

Compound: NaHF2
Source: the Materials Project
Functional: GGA-PBE
Structure: relaxed

Cell and atoms, written as extended XYZ:
```
4
Lattice="-0.7070 -2.0538 -3.1453 3.7790 0.3050 -0.4866 0.7457 -2.8790 1.2962" Properties=species:S:1:pos:R:3 pbc="T T T"
F 2.7519 -4.1464 -1.9523
H 3.3380 0.0731 -0.7480
F 0.3465 -0.8595 -0.8098
Na 0.8446 -2.8735 -1.7986
```

Summary:
Calculated formation energy, meV/atom: -2401.6
Theoretical density, Mg/m³: 2.216
SG: C2
Energy above the most stable polymorph in this dataset, meV/atom: 71

Compound: Na3NbHO2F7
Source: the Materials Project
Functional: GGA-PBE
Structure: relaxed

Cell and atoms, written as extended XYZ:
```
112
Lattice="0.5104 1.4118 -6.6568 -9.7382 10.3979 1.4585 11.1204 9.9978 2.9731" Properties=species:S:1:pos:R:3 pbc="T T T"
F 1.0753 3.5918 -5.8085
H -5.9449 9.0200 1.4572
F -4.6866 9.5599 -5.1083
F 7.0452 13.1040 -0.0084
F -1.8004 12.2614 0.4403
Nb 3.5474 11.4941 -2.5461
Nb 6.1387 7.7436 0.3735
F -1.3663 10.5900 -1.6990
Nb -1.6547 10.3134 0.3210
F 0.8174 18.2157 3.5834
F -2.0755 8.4483 -3.6840
O 4.6773 15.7193 0.0056
O 2.5480 10.4576 2.2240
Na 5.2818 17.7205 -1.2837
F 8.5978 11.9267 -3.5877
O -2.1122 11.3500 -4.6647
Na -3.3891 4.0870 -0.9414
Na 2.2004 9.1669 0.1635
F 1.2546 7.4678 1.5102
F -0.0320 6.7989 -4.3329
Na 0.3084 9.2752 -3.1699
F -0.9216 15.4973 -0.0627
F 4.3991 16.1566 -2.8888
Na 0.0690 16.3843 2.0936
F 0.6381 14.3397 -3.7353
H 2.0381 6.6206 1.5604
F 9.0889 8.9092 -2.7302
F 3.7200 17.1500 2.4470
F -2.3581 13.6824 -2.2522
F 6.5793 12.2476 2.8832
O -1.3125 6.1301 -2.2128
O 6.5947 9.6014 -4.3679
F 0.9824 17.2874 -2.0307
O 4.0049 10.4575 2.4396
F -4.6546 12.0762 -2.5162
F 8.6243 11.5130 -0.5644
O 1.2403 19.2833 0.8765
Nb 1.3128 19.0591 -1.0943
Na 1.8237 5.4232 -4.3187
O -2.7847 6.0882 -2.2307
F 2.8143 6.3102 -2.1624
Na -5.4383 11.5316 -0.0824
O -4.5475 13.6549 2.3581
O 1.1010 17.8764 0.4635
H 7.3272 11.3758 2.9745
F 3.2945 7.1515 -5.0561
F -5.1525 8.7035 -2.2167
F 6.5473 9.7313 0.2911
F 4.2508 8.1252 0.0271
Nb 3.9069 15.3161 1.7897
F 0.2046 0.7686 -1.2978
Na 5.8811 14.3087 -1.8466
F -4.5376 13.7845 -0.5795
F 3.6931 9.5461 -2.6654
Na -3.9884 7.4988 -0.3785
Na -7.2866 12.0468 -3.3360
Na 2.1756 15.3161 -2.1935
H -0.6558 13.7751 2.8712
O 0.6524 2.5242 -3.1016
F 5.8722 15.4405 2.2486
F 6.4303 8.0231 -1.6456
Na 7.3310 10.2759 -2.1428
F 1.5409 11.2559 -2.4687
O 0.7917 3.9311 -2.6886
F -7.1962 12.8983 0.5051
Na 9.1793 9.7607 1.1109
F 3.2590 11.2175 -0.5261
F 3.5185 3.8819 -4.0832
Na 3.6316 4.7964 -0.5389
Na 1.5843 12.5323 0.9448
F -2.5064 5.6509 0.6637
O -4.7020 12.2061 2.1428
F 1.6881 21.0389 -0.9273
H -5.9608 9.4821 -1.9437
F -6.7316 10.2945 -1.6607
F 1.9247 15.0086 2.1078
F 5.8046 5.8774 -0.3296
Na -1.7389 17.0111 -1.6862
Nb 0.5799 2.7485 -1.1308
Na -0.9338 2.5559 -4.9765
F 5.4515 11.5855 -1.8454
F -3.9119 15.9301 -1.8955
H 7.8535 12.3254 -0.2814
Na -3.4375 10.1710 -2.9907
Nb -2.0142 6.4914 -4.0148
F -1.8273 4.6575 -4.6721
F -3.5588 10.2220 -0.3797
F 0.6504 13.9413 -0.7099
O 3.2052 15.6775 -0.0123
Na -0.2829 6.4914 -0.0316
Na -2.7045 14.3336 0.8832
F 3.2420 18.7916 -1.2857
F -1.3493 3.0159 -0.9394
F 3.4745 13.4189 -2.0639
O -0.6553 11.3499 -4.4491
F 3.9682 13.3592 1.4589
Na -0.3077 12.6407 -2.3886
H -0.1295 14.7248 -0.3847
F -6.7051 9.8808 1.3626
F -1.5818 8.3886 -0.1612
F 1.2423 7.8663 -1.5152
F 0.9103 4.5201 -0.1944
H 2.0222 7.0827 -1.8404
Na 5.3302 11.6366 0.7656
F -1.6258 17.9256 1.8581
Na 2.8265 19.2516 2.7514
F -3.9795 6.3670 -4.4737
Nb -4.2460 14.0639 -2.5986
F -1.4018 14.6561 2.8310
F 0.3518 10.5516 0.2436
O 6.4402 8.1526 -4.5832
Na 4.5972 7.4739 -3.1084
```

Summary:
Calculated formation energy, meV/atom: -2712.4
Theoretical density, Mg/m³: 2.923
SG: Pbcn

Compound: Na2P2H12O11F2
Source: the Materials Project
Functional: GGA-PBE
Structure: relaxed

Cell and atoms, written as extended XYZ:
```
58
Lattice="-2.0391 -6.8352 7.0488 -0.9983 -2.2550 9.7202 -12.3546 0.9125 3.2488" Properties=species:S:1:pos:R:3 pbc="T T T"
O -4.6649 -6.8281 14.4214
H -9.0280 -5.8432 12.4531
H -6.5984 -3.4456 12.6097
O -1.9457 -4.9587 10.8189
H -8.7935 -4.7321 7.4081
H -10.7340 -6.0017 14.4872
O -4.4186 -6.3078 11.8589
O -13.9859 -5.6576 11.8193
Na -5.7080 -2.1031 10.3819
H -10.8324 -1.7072 7.1624
H -7.6273 -4.1985 11.7029
F -8.2347 -1.4247 5.5299
H -10.6997 -3.3302 10.2534
O -5.0606 -6.8693 9.5061
F -7.1573 -6.7529 14.4880
P -5.8333 -6.6385 15.3768
H -7.6261 -1.6459 8.2128
F -13.3577 -6.3982 16.0532
P -3.0534 -0.5522 3.8583
O -10.3313 -1.3083 10.5118
H -4.6923 -4.8475 9.7644
O -10.9734 -1.8698 8.1589
F -2.0343 -1.7794 3.9647
O -8.4199 -5.8089 11.6813
H -13.5625 -6.4518 12.2147
H -12.7474 -2.7856 8.6599
H -6.3639 -2.3344 7.5647
O -11.0130 -7.1234 15.6074
H -1.9096 -4.1301 5.4056
O -4.3790 -1.0542 4.4104
O -1.4061 -2.5200 8.1986
P -9.5586 -1.5391 4.6410
H -13.4824 -4.0476 14.6122
H -14.0965 -5.0268 12.5781
Na -2.6397 -2.7156 10.2367
H -1.8295 -1.7259 7.8031
O -10.4668 -5.2836 13.8146
H -4.6580 -2.1760 5.5307
O -6.9721 -2.3687 8.3365
H -7.7647 -3.9791 8.3150
O -10.8684 -4.2294 10.6060
O -4.5235 -3.9482 9.4118
O -4.9622 -5.3210 6.8131
Na -9.6839 -6.0745 9.6359
H -4.5939 -4.1007 8.4457
O -4.9252 -2.8940 6.2032
H -4.5595 -6.4704 12.8554
O -10.7270 -1.3496 5.5964
H -1.2955 -3.1509 7.4397
H -7.7659 -6.5317 11.8050
P -12.3386 -7.6255 16.1595
O -7.1744 -3.3230 11.8226
H -2.6445 -5.3920 11.3580
O -10.4298 -2.8566 13.2047
Na -12.7523 -5.4620 9.7812
H -10.7981 -4.0769 11.5721
O -13.4463 -3.2189 9.1989
O -8.2176 -4.8547 8.1952
```

Summary:
Calculated formation energy, meV/atom: -1834.8
Theoretical density, Mg/m³: 1.764
SG: C2/c

Compound: Na2P2H12O11F2
Source: the Materials Project
Functional: GGA-PBE
Structure: relaxed

Cell and atoms, written as extended XYZ:
```
58
Lattice="-0.8237 -1.3839 5.1437 4.8760 6.8137 5.4734 -7.5164 10.2272 1.5456" Properties=species:S:1:pos:R:3 pbc="T T T"
H -0.1412 10.3834 7.6668
O 1.8928 8.1289 5.9859
O 0.6157 1.1009 3.9979
H -5.7626 10.8466 2.6896
O -6.6959 10.6037 2.8806
H -0.4830 8.2332 8.3958
P 0.9081 7.0188 5.7794
O -3.6618 11.6529 8.5569
H -1.4638 9.2013 9.1738
O -2.2029 11.1122 5.0083
O -3.6653 8.9712 4.9970
O -0.9689 3.4728 1.4351
F 0.5447 2.9758 6.6126
H -0.8218 10.9509 6.3662
H -2.0151 6.5028 3.0311
O 2.5010 8.5735 8.8486
O -5.9494 7.0920 3.3143
O -2.9446 6.5919 3.3319
O 0.1589 3.9998 3.6059
O -1.2925 4.5636 7.1641
P -2.5801 12.5837 4.9097
O 3.2823 5.0537 9.2861
O -4.8842 9.9150 7.0711
H -5.5829 7.5054 4.1256
Na -4.5093 6.5704 1.5012
O -5.3702 7.5478 6.1600
P -4.3884 8.6571 6.3735
H 2.1158 8.2068 8.0191
O -4.0575 14.5741 8.1530
H -3.0139 7.4578 3.7928
Na -1.4084 0.2807 5.0095
H 2.3423 4.8225 9.4643
H -3.3341 5.2861 4.5255
H -1.6330 13.1960 9.1697
O -0.5376 9.0998 8.8474
O -2.5090 12.1990 10.7178
H -1.8137 2.4834 3.0341
Na 1.0357 9.1011 10.6710
F -3.1971 8.0999 7.2777
Na -2.0144 15.3787 7.1201
O 1.4166 5.7569 5.1014
H 0.5977 4.6943 4.2104
F -0.2974 7.5672 4.8783
H -3.1340 9.8482 4.9758
H -6.1026 11.0432 6.0451
F -4.0375 12.7002 5.5499
H 3.4094 4.8617 8.3196
H -4.1083 10.9516 7.9556
O -0.0045 11.0141 6.9131
O 0.1973 6.7133 7.1665
H -0.3440 5.8477 7.1837
H -2.6473 4.7280 5.8279
H 0.6058 2.0823 4.0063
O -3.4615 4.6530 5.2764
H -4.1041 13.5912 8.1406
H -6.8245 10.8098 3.8430
H 2.6723 4.6757 6.1225
P -0.9107 3.0941 7.2538
```

Summary:
Calculated formation energy, meV/atom: -1834.7
Theoretical density, Mg/m³: 1.776
SG: P1

Which value of calculated formation energy does entry 6 give?
-1834.8 meV/atom

calculated formation energy of number 4 (NaHF2)?
-2401.6 meV/atom

Among the records above, which one has the highest theoretical density?
Na3NbHO2F7

Look up the calculated formation energy of the first one.
-1667.5 meV/atom